PBE Na3Be3B3P6O25, relaxed; formation energy = -106.8 eV per formula unit; size of the total moment = 8.00 μB per cell; energy = -1124.21 eV/cell
1.0
12.5651 0.0000 0.0000
0.0000 12.5651 0.0000
0.0000 0.0000 12.5651
Na Be B P O
12 12 12 24 100
Direct
0.0914 0.0914 0.0914
0.1247 0.6247 0.8753
0.1594 0.8406 0.3406
0.3406 0.1594 0.8406
0.3753 0.3753 0.3753
0.4086 0.9086 0.5914
0.5914 0.4086 0.9086
0.6247 0.8753 0.1247
0.6594 0.6594 0.6594
0.8406 0.3406 0.1594
0.8753 0.1247 0.6247
0.9086 0.5914 0.4086
0.0650 0.1255 0.8149
0.1255 0.8149 0.0650
0.1851 0.5650 0.3745
0.3149 0.4350 0.8745
0.3745 0.1851 0.5650
0.4350 0.8745 0.3149
0.5650 0.3745 0.1851
0.6255 0.6851 0.9350
0.6851 0.9350 0.6255
0.8149 0.0650 0.1255
0.8745 0.3149 0.4350
0.9350 0.6255 0.6851
0.1138 0.8751 0.6366
0.1249 0.1366 0.3862
0.1366 0.3862 0.1249
0.3634 0.6138 0.6249
0.3751 0.8634 0.8862
0.3862 0.1249 0.1366
0.6138 0.6249 0.3634
0.6249 0.3634 0.6138
0.6366 0.1138 0.8751
0.8634 0.8862 0.3751
0.8751 0.6366 0.1138
0.8862 0.3751 0.8634
0.0882 0.6055 0.1605
0.0890 0.3554 0.3380
0.1055 0.3395 0.9118
0.1446 0.6620 0.5890
0.1605 0.0882 0.6055
0.1620 0.9110 0.8554
0.3380 0.0890 0.3554
0.3395 0.9118 0.1055
0.3554 0.3380 0.0890
0.3945 0.6605 0.4118
0.4110 0.6446 0.8380
0.4118 0.3945 0.6605
0.5882 0.8945 0.8395
0.5890 0.1446 0.6620
0.6055 0.1605 0.0882
0.6446 0.8380 0.4110
0.6605 0.4118 0.3945
0.6620 0.5890 0.1446
0.8380 0.4110 0.6446
0.8395 0.5882 0.8945
0.8554 0.1620 0.9110
0.8945 0.8395 0.5882
0.9110 0.8554 0.1620
0.9118 0.1055 0.3395
0.9997 0.3949 0.8800
0.0003 0.8949 0.6200
0.0211 0.8767 0.1150
0.0358 0.1006 0.3184
0.0608 0.6349 0.6712
0.0692 0.3490 0.2138
0.0775 0.1154 0.6888
0.1006 0.3184 0.0358
0.1051 0.1200 0.4997
0.1150 0.0211 0.8767
0.1154 0.6888 0.0775
0.1200 0.4997 0.1051
0.1233 0.6150 0.4789
0.1260 0.3740 0.6260
0.1271 0.2301 0.8633
0.1287 0.8551 0.7502
0.1349 0.8288 0.9392
0.1367 0.6271 0.2699
0.1449 0.2502 0.3713
0.1510 0.7862 0.5692
0.1712 0.4392 0.3651
0.1816 0.9642 0.6006
0.1888 0.4225 0.8846
0.2138 0.0692 0.3490
0.2301 0.8633 0.1271
0.2502 0.3713 0.1449
0.2498 0.6287 0.6449
0.2699 0.1367 0.6271
0.2862 0.9308 0.8490
0.3112 0.5775 0.3846
0.3184 0.0358 0.1006
0.3288 0.5608 0.8651
0.3490 0.2138 0.0692
0.3551 0.7498 0.8713
0.3633 0.3729 0.7699
0.3651 0.1712 0.4392
0.3713 0.1449 0.2502
0.3729 0.7699 0.3633
0.3740 0.6260 0.1260
0.3767 0.3850 0.9789
0.3800 0.5003 0.6051
0.3846 0.3112 0.5775
0.3850 0.9789 0.3767
0.3949 0.8800 0.9997
0.3994 0.6816 0.5358
0.4225 0.8846 0.1888
0.4308 0.6510 0.7138
0.4392 0.3651 0.1712
0.4642 0.8994 0.8184
0.4789 0.1233 0.6150
0.4997 0.1051 0.1200
0.5003 0.6051 0.3800
0.5211 0.6233 0.8850
0.5358 0.3994 0.6816
0.5608 0.8651 0.3288
0.5692 0.1510 0.7862
0.5775 0.3846 0.3112
0.6006 0.1816 0.9642
0.6051 0.3800 0.5003
0.6150 0.4789 0.1233
0.6154 0.8112 0.9225
0.6200 0.0003 0.8949
0.6233 0.8850 0.5211
0.6260 0.1260 0.3740
0.6271 0.2699 0.1367
0.6287 0.6449 0.2498
0.6349 0.6712 0.0608
0.6367 0.8729 0.7301
0.6449 0.2498 0.6287
0.6510 0.7138 0.4308
0.6712 0.0608 0.6349
0.6816 0.5358 0.3994
0.6888 0.0775 0.1154
0.7138 0.4308 0.6510
0.7301 0.6367 0.8729
0.7502 0.1287 0.8551
0.7498 0.8713 0.3551
0.7699 0.3633 0.3729
0.7862 0.5692 0.1510
0.8112 0.9225 0.6154
0.8184 0.4642 0.8994
0.8288 0.9392 0.1349
0.8490 0.2862 0.9308
0.8551 0.7502 0.1287
0.8633 0.1271 0.2301
0.8651 0.3288 0.5608
0.8713 0.3551 0.7498
0.8729 0.7301 0.6367
0.8740 0.8740 0.8740
0.8767 0.1150 0.0211
0.8800 0.9997 0.3949
0.8846 0.1888 0.4225
0.8850 0.5211 0.6233
0.8949 0.6200 0.0003
0.8994 0.8184 0.4642
0.9225 0.6154 0.8112
0.9308 0.8490 0.2862
0.9392 0.1349 0.8288
0.9642 0.6006 0.1816
0.9789 0.3767 0.3850


PBE Be2BO5, relaxed; formation energy = -16.8 eV per formula unit; size of the total moment = 3.00 μB per cell; energy = -52.30 eV/cell
1.0
3.9039 -2.2165 0.0000
3.9039 2.2165 0.0000
-0.4038 0.0000 4.8680
Be B O
2 1 5
Direct
0.1729 0.1729 0.1005
0.8271 0.8271 0.8995
0.4990 0.5010 0.0000
0.1885 0.8115 0.0000
0.2021 0.1820 0.4409
0.5003 0.1940 0.0037
0.8060 0.4997 0.9963
0.8180 0.7979 0.5591